# ZrGa3

Crystalline ZrGa3 at its relaxed geometry (meta-GGA r2SCAN, Materials Project).

energy relative to the elements: -0.513 eV/atom
size of the total moment: 0.0 μB per formula unit
volume: 68.72 Å³/f.u.

a b c (Å): 3.886 3.886 5.316
angles (deg): 111.44 111.44 90.00
Positions (direct):
Zr (0.000, 0.000, 0.000)
Ga (0.750, 0.250, 0.500)
Ga (0.500, 0.500, 0.000)
Ga (0.250, 0.750, 0.500)